Record 1
DFT (PBE) results for crystalline ScAlN2 at its relaxed geometry.

Crystal system: tetragonal
Space-group type: I4_1/amd, No. 141
Energy with MP2020 corrections in eV per cell: -66.46
Energy of formation from the pure elements in eV/atom: -1.62
Spin magnetization in Bohr magnetons per cell: 0.0

a = 4.3982 Å, b = 4.3997 Å, c = 5.2253 Å
α = 114.90°, β = 114.89°, γ = 90.00°
Closest atoms and distances in Å follow each position.
Sites, in units of the cell vectors:
Al 0.8750 0.6250 0.2500  6 N 1.99-2.20
N 0.3625 0.6125 0.2250  3 Al 1.99-2.20, 3 Sc 2.20
Al 0.1250 0.3750 0.7500  6 N 1.99-2.20
N 0.1125 0.8625 0.7250  3 Al 1.99-2.20, 3 Sc 2.20
Sc 0.3750 0.1250 0.2500  6 N 2.20
N 0.8875 0.1375 0.2750  3 Al 1.99-2.20, 3 Sc 2.20
N 0.6375 0.3875 0.7750  3 Al 1.99-2.20, 3 Sc 2.20
Sc 0.6250 0.8750 0.7500  6 N 2.20

=====

Record 2
DFT (PBE) results for crystalline SrAlSiN3 at its relaxed geometry.

Crystal system: monoclinic
Space-group type: P2_1, No. 4
Energy with MP2020 corrections in eV per cell: -88.83
Energy of formation from the pure elements in eV/atom: -1.42
Spin magnetization in Bohr magnetons per cell: 0.0

a = 5.1975 Å, b = 5.7482 Å, c = 5.7549 Å
α = 119.41°, β = 90.00°, γ = 90.00°
Closest atoms and distances in Å follow each position.
Sites, in units of the cell vectors:
Si 0.5224 0.6696 0.0271  4 N 1.73-1.80
Sr 0.5089 0.3128 0.3114  5 N 2.64-2.77
N 0.8534 0.6394 0.1030  2 Si 1.78-1.80, 1 Al 1.94
Al 0.0273 0.9747 0.3263  4 N 1.87-1.94
N 0.3760 0.8816 0.3348  1 Si 1.76, 2 Al 1.88-1.90
N 0.8760 0.1184 0.6652  1 Si 1.76, 2 Al 1.88-1.90
Al 0.5273 0.0253 0.6737  4 N 1.87-1.94
Sr 0.0089 0.6872 0.6886  5 N 2.64-2.77
N 0.5101 0.7809 0.7983  1 Si 1.73, 1 Al 1.87
Si 0.0224 0.3304 0.9729  4 N 1.73-1.80
N 0.3534 0.3606 0.8970  2 Si 1.78-1.80, 1 Al 1.94
N 0.0101 0.2191 0.2017  1 Si 1.73, 1 Al 1.87

=====

Record 3
DFT (PBE) results for crystalline SrAlSi4N7 at its relaxed geometry.

Crystal system: orthorhombic
Space-group type: Pna2_1, No. 33
Energy with MP2020 corrections in eV per cell: -825.16
Energy of formation from the pure elements in eV/atom: -1.36
Spin magnetization in Bohr magnetons per cell: 0.0

a = 4.9725 Å, b = 11.8113 Å, c = 21.2781 Å
α = 90.00°, β = 90.00°, γ = 90.00°
Closest atoms and distances in Å follow each position.
Sites, in units of the cell vectors:
Si 0.4578 0.4660 0.3897  4 N 1.68-1.83
N 0.4899 0.8924 0.4051  1 Si 1.66, 2 Al 1.81-1.83
Si 0.4707 0.8985 0.8469  4 N 1.68-1.80
N 0.9828 0.2197 0.7072  1 Si 1.68, 2 Al 1.84-1.85
N 0.3051 0.9971 0.8983  3 Si 1.79-1.80
Al 0.7376 0.1612 0.6503  4 N 1.83-1.87
Si 0.4497 0.6901 0.1391  4 N 1.68-1.80
Sr 0.4360 0.7732 0.9895  4 N 2.44-2.71
N 0.3000 0.5532 0.3330  3 Si 1.76-1.79
Si 0.9689 0.3592 0.7233  4 N 1.68-1.79
Si 0.9466 0.6623 0.0653  4 N 1.73-1.80
N 0.4828 0.2803 0.2072  1 Si 1.68, 2 Al 1.84-1.85
N 0.7897 0.3781 0.9268  3 Si 1.78-1.80
N 0.8027 0.5886 0.2731  3 Si 1.77-1.78
N 0.2908 0.6322 0.2054  3 Si 1.76
N 0.9788 0.2337 0.1245  1 Si 1.68, 2 Al 1.86-1.87
N 0.4857 0.0672 0.6853  1 Si 1.66, 2 Al 1.82-1.83
N 0.4257 0.7039 0.5326  2 Si 1.70-1.73
Si 0.9497 0.8099 0.6391  4 N 1.68-1.80
Si 0.4578 0.9660 0.1103  4 N 1.68-1.83
N 0.9857 0.9328 0.3147  1 Si 1.66, 2 Al 1.82-1.83
Si 0.4497 0.1901 0.3609  4 N 1.68-1.80
Si 0.9497 0.3099 0.8609  4 N 1.68-1.80
N 0.7908 0.8678 0.7054  3 Si 1.76
N 0.2975 0.3447 0.8580  3 Si 1.78-1.80
N 0.7897 0.8781 0.5732  3 Si 1.78-1.80
N 0.4119 0.8311 0.1325  2 Si 1.68
Al 0.2376 0.3388 0.1503  4 N 1.83-1.87
N 0.8000 0.9468 0.8330  3 Si 1.76-1.79
N 0.3027 0.4114 0.7269  3 Si 1.77-1.78
N 0.7908 0.3678 0.7946  3 Si 1.76
Si 0.9689 0.8592 0.7767  4 N 1.68-1.79
N 0.9257 0.7961 0.0326  2 Si 1.70-1.73
Si 0.9707 0.1015 0.1531  4 N 1.68-1.80
Si 0.9598 0.5011 0.9558  4 N 1.66-1.79
Si 0.9466 0.1623 0.4347  4 N 1.73-1.80
N 0.4257 0.2039 0.9674  2 Si 1.70-1.73
Si 0.4688 0.9289 0.6996  4 N 1.66-1.79
N 0.3012 0.9895 0.0335  3 Si 1.81-1.83
N 0.8051 0.5029 0.3983  3 Si 1.79-1.80
N 0.2897 0.1219 0.4268  3 Si 1.78-1.80
Si 0.9578 0.5340 0.6103  4 N 1.68-1.83
N 0.8012 0.5105 0.5335  3 Si 1.81-1.83
N 0.4788 0.2663 0.6245  1 Si 1.68, 2 Al 1.86-1.87
N 0.8027 0.0886 0.2269  3 Si 1.77-1.78
N 0.7975 0.6553 0.1420  3 Si 1.78-1.80
N 0.7783 0.0557 0.4790  3 Si 1.78-1.79
Si 0.4689 0.6408 0.2767  4 N 1.68-1.79
N 0.2897 0.6219 0.0732  3 Si 1.78-1.80
Al 0.7299 0.8400 0.3483  4 N 1.81-1.86
N 0.9257 0.2961 0.4674  2 Si 1.70-1.73
Sr 0.4360 0.2732 0.5105  4 N 2.44-2.71
Si 0.4598 0.9989 0.4558  4 N 1.66-1.79
Sr 0.9668 0.8497 0.2022  3 N 2.59-2.76
Al 0.7299 0.3400 0.1517  4 N 1.81-1.86
Si 0.4689 0.1408 0.2233  4 N 1.68-1.79
N 0.3027 0.9114 0.7731  3 Si 1.77-1.78
N 0.7783 0.5557 0.0210  3 Si 1.78-1.79
N 0.4899 0.3924 0.0949  1 Si 1.66, 2 Al 1.81-1.83
Si 0.4688 0.4289 0.8004  4 N 1.66-1.79
N 0.8051 0.0029 0.1017  3 Si 1.79-1.80
N 0.9857 0.4328 0.1853  1 Si 1.66, 2 Al 1.82-1.83
Al 0.2376 0.8388 0.3497  4 N 1.83-1.87
Sr 0.4668 0.1503 0.7978  3 N 2.59-2.76
N 0.2783 0.9443 0.5210  3 Si 1.78-1.79
Al 0.2299 0.6600 0.8483  4 N 1.81-1.86
Si 0.9578 0.0340 0.8897  4 N 1.68-1.83
Si 0.9572 0.9398 0.0333  4 N 1.70-1.82
Al 0.7376 0.6612 0.8497  4 N 1.83-1.87
N 0.2975 0.8447 0.6420  3 Si 1.78-1.80
N 0.8012 0.0105 0.9665  3 Si 1.81-1.83
Si 0.9688 0.0711 0.3004  4 N 1.66-1.79
N 0.4788 0.7663 0.8755  1 Si 1.68, 2 Al 1.86-1.87
N 0.4828 0.7803 0.2928  1 Si 1.68, 2 Al 1.84-1.85
N 0.2908 0.1322 0.2946  3 Si 1.76
N 0.9899 0.1076 0.5949  1 Si 1.66, 2 Al 1.81-1.83
N 0.3051 0.4971 0.6017  3 Si 1.79-1.80
Al 0.2299 0.1600 0.6517  4 N 1.81-1.86
Si 0.4572 0.0602 0.9667  4 N 1.70-1.82
N 0.9119 0.1689 0.8675  2 Si 1.68
Si 0.9572 0.4398 0.4667  4 N 1.70-1.82
N 0.8000 0.4468 0.6670  3 Si 1.76-1.79
Si 0.4466 0.3377 0.9347  4 N 1.73-1.80
N 0.3012 0.4895 0.4665  3 Si 1.81-1.83
Si 0.4466 0.8377 0.5653  4 N 1.73-1.80
N 0.2783 0.4443 0.9790  3 Si 1.78-1.79
Si 0.4598 0.4989 0.0442  4 N 1.66-1.79
Si 0.4707 0.3985 0.6531  4 N 1.68-1.80
Sr 0.9360 0.2268 0.0105  4 N 2.44-2.71
Si 0.9598 0.0011 0.5442  4 N 1.66-1.79
N 0.9119 0.6689 0.6325  2 Si 1.68
N 0.4119 0.3311 0.3675  2 Si 1.68
N 0.9899 0.6076 0.9051  1 Si 1.66, 2 Al 1.81-1.83
N 0.7975 0.1553 0.3580  3 Si 1.78-1.80
Si 0.9707 0.6015 0.3469  4 N 1.68-1.80
N 0.4857 0.5672 0.8147  1 Si 1.66, 2 Al 1.82-1.83
N 0.9828 0.7197 0.7928  1 Si 1.68, 2 Al 1.84-1.85
N 0.3000 0.0532 0.1670  3 Si 1.76-1.79
N 0.9788 0.7337 0.3755  1 Si 1.68, 2 Al 1.86-1.87
Sr 0.4668 0.6503 0.7022  3 N 2.59-2.76
Sr 0.9668 0.3497 0.2978  3 N 2.59-2.76
Si 0.9688 0.5711 0.1996  4 N 1.66-1.79
Si 0.4572 0.5602 0.5333  4 N 1.70-1.82
Sr 0.9360 0.7268 0.4895  4 N 2.44-2.71

=====

Record 4
DFT (PBE) results for crystalline Sm3AlN at its relaxed geometry.

Crystal system: cubic
Space-group type: Pm-3m, No. 221
Energy with MP2020 corrections in eV per cell: -30.68
Energy of formation from the pure elements in eV/atom: -0.89

a = 4.9164 Å, b = 4.9164 Å, c = 4.9164 Å
α = 90.00°, β = 90.00°, γ = 90.00°
Closest atoms and distances in Å follow each position.
Sites, in units of the cell vectors:
Sm 0.5000 0.5000 0.0000  2 N 2.46
Al 0.0000 0.0000 0.0000  12 Sm 3.48
Sm 0.5000 0.0000 0.5000  2 N 2.46
Sm 0.0000 0.5000 0.5000  2 N 2.46
N 0.5000 0.5000 0.5000  6 Sm 2.46

=====

Record 5
DFT (PBE) results for crystalline Sr3AlN3 at its relaxed geometry.

Crystal system: hexagonal
Space-group type: P6_3/m, No. 176
Energy with MP2020 corrections in eV per cell: -80.96
Energy of formation from the pure elements in eV/atom: -0.95
Spin magnetization in Bohr magnetons per cell: 0.0

a = 7.6615 Å, b = 7.6613 Å, c = 5.3959 Å
α = 90.00°, β = 90.00°, γ = 120.00°
Closest atoms and distances in Å follow each position.
Sites, in units of the cell vectors:
N 0.8939 0.5895 0.7500  1 Al 1.86
N 0.3044 0.8939 0.2500  1 Al 1.86
N 0.4105 0.3044 0.7500  1 Al 1.86
Al 0.3333 0.6667 0.2500  3 N 1.86
N 0.6956 0.1061 0.7500  1 Al 1.86
Sr 0.2872 0.9278 0.7500  5 N 2.55-2.83
Sr 0.0722 0.3593 0.7500  5 N 2.55-2.83
N 0.5895 0.6956 0.2500  1 Al 1.86
Sr 0.6407 0.7128 0.7500  5 N 2.55-2.83
Sr 0.3593 0.2872 0.2500  5 N 2.55-2.83
N 0.1061 0.4105 0.2500  1 Al 1.86
Sr 0.7128 0.0722 0.2500  5 N 2.55-2.83
Al 0.6667 0.3333 0.7500  3 N 1.86
Sr 0.9278 0.6407 0.2500  5 N 2.55-2.83

=====

Record 6
DFT (PBE) results for crystalline TiAlN2 at its relaxed geometry.

Crystal system: trigonal
Space-group type: R-3m, No. 166
Energy with MP2020 corrections in eV per cell: -34.45
Energy of formation from the pure elements in eV/atom: -1.53
Spin magnetization in Bohr magnetons per cell: 0.0

a = 5.1910 Å, b = 5.1910 Å, c = 5.1910 Å
α = 32.70°, β = 32.70°, γ = 32.70°
Closest atoms and distances in Å follow each position.
Sites, in units of the cell vectors:
Ti 0.5000 0.5000 0.5000  6 N 2.14
N 0.2560 0.2560 0.2560  3 Al 2.04, 3 Ti 2.14
N 0.7440 0.7440 0.7440  3 Al 2.04, 3 Ti 2.14
Al 0.0000 0.0000 0.0000  6 N 2.04

=====

Record 7
DFT (PBE) results for crystalline Ti3AlN at its relaxed geometry.

Crystal system: cubic
Space-group type: Pm-3m, No. 221
Energy with MP2020 corrections in eV per cell: -40.86
Energy of formation from the pure elements in eV/atom: -1.02

a = 4.1299 Å, b = 4.1299 Å, c = 4.1299 Å
α = 90.00°, β = 90.00°, γ = 90.00°
Closest atoms and distances in Å follow each position.
Sites, in units of the cell vectors:
Ti 0.5000 0.0000 0.5000  2 N 2.06
Ti 0.0000 0.5000 0.5000  2 N 2.06
Ti 0.5000 0.5000 0.0000  2 N 2.06
Al 0.0000 0.0000 0.0000  12 Ti 2.92
N 0.5000 0.5000 0.5000  6 Ti 2.06